Material: Na6HfMg3Si2S4O24
Method: DFT, PBE
State: relaxed

## Properties
The space-group type is P1, No. 1. The value obtained for the formation energy from the elements is -101.75 eV/f.u.

```
Na6HfMg3Si2S4O24
1.0
9.017 0.000 0.000
-4.506 7.813 0.000
-0.090 -0.092 22.422
Na Hf Mg Si S O
18 3 9 6 12 72
Direct
0.000 0.000 0.000
0.001 0.724 0.493
0.008 0.697 0.163
0.299 0.311 0.159
0.311 0.709 0.657
0.318 0.389 0.834
0.321 0.038 0.080
0.328 0.674 0.337
0.336 0.020 0.581
0.353 0.369 0.488
0.604 0.974 0.492
0.609 0.362 0.001
0.642 0.681 0.915
0.648 0.701 0.410
0.652 0.062 0.173
0.686 0.019 0.819
0.957 0.331 0.252
0.969 0.346 0.744
0.671 0.702 0.263
0.984 0.354 0.598
0.991 0.350 0.096
0.000 0.369 0.895
0.319 0.026 0.929
0.329 0.013 0.425
0.330 0.028 0.725
0.336 0.039 0.228
0.643 0.697 0.563
0.650 0.681 0.061
0.669 0.704 0.757
0.986 0.351 0.390
0.284 0.653 0.492
0.294 0.363 0.989
0.623 0.031 0.328
0.652 0.988 0.663
0.653 0.394 0.158
0.953 0.982 0.156
0.028 0.020 0.827
0.032 0.732 0.328
0.318 0.731 0.827
0.320 0.317 0.328
0.364 0.692 0.160
0.365 0.395 0.662
0.617 0.320 0.828
0.693 0.062 0.991
0.696 0.362 0.493
0.947 0.693 0.660
0.990 0.064 0.493
0.992 0.653 0.992
0.005 0.176 0.831
0.013 0.572 0.048
0.015 0.173 0.548
0.018 0.563 0.333
0.107 0.837 0.382
0.108 0.003 0.883
0.121 0.844 0.667
0.132 0.815 0.274
0.139 0.000 0.168
0.140 0.048 0.776
0.148 0.822 0.986
0.152 0.058 0.488
0.162 0.556 0.552
0.164 0.556 0.832
0.166 0.333 0.049
0.173 0.346 0.332
0.189 0.529 0.435
0.190 0.533 0.153
0.191 0.388 0.655
0.198 0.379 0.931
0.296 0.842 0.492
0.299 0.215 0.274
0.299 0.810 0.772
0.304 0.184 0.990
0.334 0.221 0.668
0.336 0.837 0.167
0.342 0.237 0.383
0.347 0.842 0.879
0.437 0.656 0.215
0.443 0.504 0.715
0.466 0.472 0.607
0.473 0.721 0.108
0.474 0.667 0.497
0.474 0.708 0.824
0.478 0.002 0.667
0.479 0.493 0.323
0.484 0.531 0.996
0.491 0.203 0.164
0.505 0.986 0.388
0.513 0.242 0.883
0.521 0.212 0.489
0.524 0.048 0.986
0.529 0.039 0.267
0.533 0.208 0.776
0.621 0.476 0.099
0.624 0.874 0.603
0.628 0.842 0.322
0.631 0.491 0.821
0.684 0.897 0.998
0.684 0.909 0.724
0.686 0.519 0.503
0.688 0.522 0.216
0.776 0.176 0.045
0.777 0.327 0.547
0.790 0.334 0.834
0.801 0.148 0.938
0.804 0.388 0.441
0.813 0.194 0.334
0.822 0.896 0.214
0.827 0.183 0.655
0.835 0.386 0.153
0.839 0.661 0.713
0.840 0.674 0.996
0.844 0.888 0.501
0.854 0.866 0.823
0.855 0.710 0.324
0.866 0.873 0.096
0.868 0.708 0.604
0.955 0.142 0.441
0.960 0.537 0.941
0.972 0.177 0.155
0.973 0.538 0.656
```


Material: La4Ti9O24
Method: DFT, PBE
State: relaxed

## Properties
The space-group type is Fddd, No. 70. The value obtained for the formation energy from the elements is -135.72 eV/f.u.

```
La4Ti9O24
1.0
0.000 7.373 17.912
7.100 0.000 17.912
7.100 7.373 0.000
La Ti O
16 36 96
Direct
0.007 0.007 0.743
0.068 0.676 0.384
0.232 0.232 0.518
0.257 0.257 0.993
0.324 0.932 0.628
0.372 0.384 0.676
0.384 0.372 0.068
0.482 0.482 0.768
0.518 0.518 0.232
0.616 0.628 0.932
0.628 0.616 0.324
0.676 0.068 0.372
0.743 0.743 0.007
0.768 0.768 0.482
0.932 0.324 0.616
0.993 0.993 0.257
0.052 0.540 0.695
0.062 0.097 0.930
0.070 0.590 0.938
0.072 0.503 0.238
0.097 0.062 0.410
0.144 0.187 0.852
0.148 0.683 0.856
0.187 0.144 0.317
0.214 0.695 0.540
0.238 0.686 0.072
0.305 0.786 0.948
0.314 0.762 0.497
0.317 0.852 0.187
0.330 0.330 0.420
0.410 0.930 0.097
0.420 0.420 0.330
0.460 0.948 0.786
0.497 0.928 0.314
0.503 0.072 0.686
0.540 0.052 0.214
0.580 0.580 0.670
0.590 0.070 0.903
0.670 0.670 0.580
0.683 0.148 0.813
0.686 0.238 0.503
0.695 0.214 0.052
0.762 0.314 0.928
0.786 0.305 0.460
0.813 0.856 0.683
0.852 0.317 0.144
0.856 0.813 0.148
0.903 0.938 0.590
0.928 0.497 0.762
0.930 0.410 0.062
0.938 0.903 0.070
0.948 0.460 0.305
0.001 0.749 0.001
0.029 0.331 0.708
0.039 0.297 0.210
0.045 0.790 0.703
0.046 0.855 0.452
0.076 0.829 0.923
0.077 0.327 0.924
0.083 0.297 0.418
0.085 0.426 0.649
0.089 0.767 0.187
0.102 0.390 0.185
0.111 0.136 0.472
0.136 0.111 0.781
0.145 0.954 0.853
0.147 0.452 0.855
0.171 0.924 0.327
0.177 0.815 0.610
0.185 0.823 0.102
0.187 0.457 0.089
0.196 0.390 0.367
0.196 0.472 0.562
0.210 0.955 0.039
0.219 0.528 0.864
0.233 0.911 0.543
0.251 0.999 0.251
0.270 0.562 0.472
0.288 0.462 0.288
0.292 0.568 0.971
0.297 0.039 0.955
0.297 0.083 0.701
0.299 0.582 0.703
0.327 0.077 0.171
0.331 0.029 0.432
0.341 0.649 0.426
0.351 0.659 0.915
0.367 0.547 0.196
0.390 0.102 0.823
0.390 0.196 0.547
0.418 0.701 0.083
0.426 0.085 0.341
0.432 0.708 0.331
0.438 0.730 0.804
0.452 0.147 0.046
0.453 0.633 0.610
0.457 0.187 0.767
0.462 0.288 0.462
0.472 0.196 0.270
0.472 0.781 0.111
0.528 0.219 0.889
0.528 0.804 0.730
0.538 0.712 0.538
0.543 0.813 0.233
0.547 0.367 0.390
0.548 0.853 0.954
0.562 0.270 0.196
0.568 0.292 0.669
0.574 0.915 0.659
0.582 0.299 0.917
0.610 0.804 0.453
0.610 0.898 0.177
0.633 0.453 0.804
0.649 0.341 0.085
0.659 0.351 0.574
0.669 0.971 0.568
0.673 0.923 0.829
0.701 0.418 0.297
0.703 0.917 0.299
0.703 0.961 0.045
0.708 0.432 0.029
0.712 0.538 0.712
0.730 0.438 0.528
0.749 0.001 0.749
0.767 0.089 0.457
0.781 0.472 0.136
0.790 0.045 0.961
0.804 0.528 0.438
0.804 0.610 0.633
0.813 0.543 0.911
0.815 0.177 0.898
0.823 0.185 0.390
0.829 0.076 0.673
0.853 0.548 0.145
0.855 0.046 0.147
0.864 0.889 0.219
0.889 0.864 0.528
0.898 0.610 0.815
0.911 0.233 0.813
0.915 0.574 0.351
0.917 0.703 0.582
0.923 0.673 0.076
0.924 0.171 0.077
0.954 0.145 0.548
0.955 0.210 0.297
0.961 0.703 0.790
0.971 0.669 0.292
0.999 0.251 0.999
```


Material: TeMoWSeS2
Method: DFT, PBE
State: relaxed

## Properties
The space-group type is P3m1, No. 156. The value obtained for the formation energy from the elements is -4.46 eV/f.u. The distance to the lowest polymorph of the same formula comes out at 17.6 meV/atom.

```
TeMoWSeS2
1.0
3.306 0.000 0.000
-1.653 2.863 0.000
0.000 0.000 37.622
Te Mo W Se S
2 2 2 2 4
Direct
0.000 0.000 0.000
0.000 0.000 0.101
0.000 0.000 0.487
0.333 0.667 0.051
0.000 0.000 0.863
0.333 0.667 0.675
0.333 0.667 0.818
0.333 0.667 0.908
0.000 0.000 0.634
0.000 0.000 0.716
0.333 0.667 0.446
0.333 0.667 0.528
```


Material: CsS2NO4F2
Method: DFT, PBE
State: relaxed

## Properties
The space-group type is P2_1/c, No. 14. The value obtained for the formation energy from the elements is -17.49 eV/f.u.

```
CsS2NO4F2
1.0
8.116 0.000 0.000
0.000 8.699 0.000
-6.345 0.000 10.652
Cs S N O F
4 8 4 16 8
Direct
0.233 0.244 0.088
0.233 0.256 0.588
0.767 0.744 0.412
0.767 0.756 0.912
0.209 0.602 0.344
0.209 0.898 0.844
0.357 0.688 0.038
0.357 0.812 0.538
0.643 0.188 0.462
0.643 0.312 0.962
0.791 0.102 0.156
0.791 0.398 0.656
0.381 0.708 0.442
0.381 0.792 0.942
0.619 0.208 0.058
0.619 0.292 0.558
0.090 0.537 0.387
0.090 0.963 0.887
0.180 0.602 0.986
0.180 0.898 0.486
0.281 0.507 0.282
0.281 0.993 0.782
0.465 0.111 0.381
0.465 0.389 0.881
0.535 0.611 0.119
0.535 0.889 0.619
0.719 0.007 0.218
0.719 0.493 0.718
0.820 0.102 0.514
0.820 0.398 0.014
0.910 0.037 0.113
0.910 0.463 0.613
0.068 0.724 0.236
0.068 0.776 0.736
0.339 0.688 0.631
0.339 0.812 0.131
0.661 0.188 0.869
0.661 0.312 0.369
0.932 0.224 0.264
0.932 0.276 0.764
```


Material: K3TeP2O14
Method: DFT, PBE
State: relaxed

## Properties
The space-group type is P-1, No. 2. The value obtained for the formation energy from the elements is -28.77 eV/f.u.

```
K3TeP2O14
1.0
6.443 0.000 0.000
2.367 6.962 0.000
2.217 3.062 15.806
K Te P O
6 2 4 28
Direct
0.103 0.490 0.256
0.300 0.829 0.575
0.317 0.835 0.069
0.683 0.165 0.931
0.700 0.171 0.425
0.897 0.510 0.744
0.000 0.500 0.000
0.000 0.500 0.500
0.306 0.942 0.313
0.353 0.965 0.817
0.647 0.035 0.183
0.694 0.058 0.687
0.039 0.224 0.008
0.052 0.221 0.521
0.084 0.096 0.321
0.164 0.482 0.594
0.184 0.162 0.797
0.192 0.490 0.083
0.239 0.801 0.828
0.253 0.412 0.424
0.254 0.422 0.923
0.305 0.800 0.258
0.388 0.590 0.762
0.393 0.851 0.400
0.471 0.073 0.263
0.472 0.931 0.896
0.528 0.069 0.104
0.529 0.927 0.737
0.607 0.149 0.600
0.612 0.410 0.238
0.695 0.200 0.742
0.746 0.578 0.077
0.747 0.588 0.576
0.761 0.199 0.172
0.808 0.510 0.917
0.816 0.838 0.203
0.836 0.518 0.406
0.916 0.904 0.679
0.948 0.779 0.479
0.961 0.776 0.992
```


Material: AlCo2Ni
Method: DFT, PBE
State: relaxed

## Properties
The space-group type is I4/mmm, No. 139. The value obtained for the formation energy from the elements is -0.99 eV/f.u.

```
AlCo2Ni
1.0
-1.784 1.784 3.556
1.784 -1.784 3.556
1.784 1.784 -3.556
Al Co Ni
1 2 1
Direct
0.000 0.000 0.000
0.250 0.750 0.500
0.750 0.250 0.500
0.500 0.500 0.000
```